Compound: BaCaNbWO6
Source: the Materials Project
Functional: PBE with a Hubbard U
Structure: optimized geometry

As for the calculated formation energy: -2818 meV per atom.

The space group is F-43m (No. 216) and the conventional cell measures 8.273, 8.273 and 8.273 Å, with angles of 90.00, 90.00 and 90.00 degrees. Symmetry generates all atoms from Ba at (0.000, 0.000, 0.000), Ca at (0.000, 0.000, 0.500), Nb at (0.250, 0.250, 0.750), W at (0.250, 0.250, 0.250) and O at (0.007, 0.250, 0.750).